# 1
Here is crystalline BeBO3 at its relaxed geometry from the Materials Project. Energies are from GGA-PBE.

Cell and atoms, written as POSCAR:
```
BeBO3
1.0
-1.2580 -2.5695 -1.5729
1.8970 0.6486 -2.5768
2.3404 -1.9068 1.2430
O B Be
3 1 1
Cartesian
2.1187 -0.6291 -0.6669
0.5412 -2.2382 -0.1649
0.3195 -0.9604 -2.0748
1.4897 -1.9139 -1.4533
0.0000 0.0000 0.0000
```

Computed properties:
**Energy of formation from the pure elements**: -482.7 kJ/mol of formula units
**Symmetry**: No. 221
**Magnetization**: 0.00 μB/cell

---

# 2
Here is crystalline RbBe2B3O7 at its relaxed geometry from the Materials Project. Energies are from GGA-PBE.

Cell and atoms, written as POSCAR:
```
RbBe2B3O7
1.0
-0.7342 2.1383 3.8153
-4.9844 -5.5464 2.1493
13.4201 -9.0863 7.6750
Be Rb O B
8 4 28 12
Cartesian
-1.3848 -1.3696 2.3465
5.0096 -4.6556 8.3730
1.7984 -7.7626 6.9189
11.4199 -7.8899 11.0424
8.1853 -11.4891 12.4371
3.1450 -6.7305 9.1771
-3.1346 -3.3167 3.1010
4.9182 -4.2911 5.5736
8.6070 -9.5901 9.2234
1.6116 -3.9960 7.4362
8.2915 -4.8788 6.6389
1.3293 0.6185 4.6789
7.9395 -6.4460 10.2415
1.7682 -7.4418 8.5405
6.1789 -3.7828 4.5678
5.9659 -8.6421 11.0925
1.9024 -2.2509 4.1511
3.3945 -7.6903 6.4153
4.0233 -5.9633 7.9526
12.7887 -7.5549 10.1625
6.3535 -8.4994 6.8120
7.1645 -10.5545 11.6770
8.9713 -13.2734 10.2364
3.9721 -1.6059 5.0677
12.4125 -9.4442 8.7525
-0.0664 -2.0187 2.9241
3.9522 -7.9092 9.9421
9.6947 -4.9921 9.6007
6.5051 -5.0684 8.8413
0.1939 -3.8406 4.5496
1.0057 -6.6261 6.0785
-2.1025 -4.2844 3.8021
10.1129 -7.2738 10.4057
4.9519 -5.9574 5.7437
-2.4814 -2.4972 1.8119
5.1953 -3.6284 7.0628
-2.1568 -0.4578 3.4898
-3.7000 -2.1750 4.1553
-1.1084 -5.6011 5.4494
3.4371 -3.9205 5.0301
-1.0259 -4.5331 4.5411
5.8633 -9.8111 6.7195
5.9761 -9.9802 11.5189
-0.3133 -6.4489 6.2240
0.6132 -2.7092 3.8343
13.0387 -8.2347 8.9880
7.4390 -8.0577 6.0400
9.3215 -6.2577 10.0764
4.1535 -6.5626 6.7080
3.0954 -2.6559 4.7542
-3.0088 -1.0095 4.4279
5.7719 -2.3772 7.2511
```

Computed properties:
**Energy of formation from the pure elements**: -3626.0 kJ/mol of formula units
**Symmetry**: No. 31
**Magnetization**: 0.00 μB/cell

---

# 3
Here is crystalline SrBeB2O5 at its relaxed geometry from the Materials Project. Energies are from GGA-PBE.

Cell and atoms, written as POSCAR:
```
SrBeB2O5
1.0
-0.4099 -1.1454 -3.6933
-2.7445 -4.2082 1.6097
-16.3534 6.8805 -0.3190
Be O B Sr
4 20 8 4
Cartesian
-6.2446 -3.1274 -1.3536
-5.0756 1.2443 -0.7921
-14.4322 0.2826 -1.6105
-13.2631 4.6544 -1.0490
-6.8934 -1.6534 1.1410
-12.6144 3.1803 -3.5436
-5.9139 -0.8376 -3.1733
-3.8304 -1.9982 -2.5208
-8.6444 1.2054 -2.2559
-11.9080 1.7192 -1.7870
-5.6211 -1.6458 -0.9082
-6.4743 1.7807 -1.4027
-13.8866 3.1728 -1.4944
-14.5418 5.5262 -0.5781
-7.5998 -0.1922 -0.6156
-4.9660 -3.9992 -1.8245
-15.2477 1.2907 -0.6183
-13.5938 2.3646 0.7707
-4.2601 0.2362 -1.7843
-15.6774 3.5251 0.1182
-16.8670 4.5175 -2.8288
-2.6408 -2.9905 0.4262
-13.0335 -0.2537 -0.9999
-10.8634 0.3216 -0.1467
-7.5687 0.9450 -1.4527
-13.1080 2.3281 -2.4552
-11.9390 0.5820 -0.9499
-4.9078 -1.0465 -2.0839
-6.3998 -0.8012 0.0526
-14.6000 2.5734 -0.3187
-3.9578 -3.4045 -2.5515
-15.5500 4.9315 0.1489
-1.9101 -0.8196 -0.9793
-17.5977 2.3466 -1.4233
-10.0023 2.8568 -0.3774
-9.5054 -1.3298 -2.0252
```

Computed properties:
**Energy of formation from the pure elements**: -2715.1 kJ/mol of formula units
**Symmetry**: No. 14
**Magnetization**: 0.00 μB/cell

---

# 4
Here is crystalline Sr3BeB6O13 at its relaxed geometry from the Materials Project. Energies are from GGA-PBE.

Cell and atoms, written as POSCAR:
```
Sr3BeB6O13
1.0
8.1421 0.0000 0.0000
0.0000 10.1345 0.0000
0.0000 0.0000 12.9114
O Sr B Be
52 12 24 4
Cartesian
6.6966 3.8670 8.6581
5.5166 1.2002 2.2024
5.2826 0.1865 10.3525
5.4263 7.6009 12.2500
3.9249 3.7468 5.3622
2.8595 5.2537 2.5589
5.2826 4.8808 10.3525
5.1244 2.5336 7.0549
0.0883 3.7319 5.4813
7.3682 2.5336 3.5079
6.6966 1.2002 8.6581
4.2172 6.3877 7.5493
1.4455 6.2675 4.2533
7.9960 6.3877 1.0936
0.7739 7.6009 9.4036
3.2971 7.6009 2.9479
3.9249 1.3204 5.3622
7.1141 6.0475 9.6231
3.9828 3.7319 11.9370
5.0991 9.1543 3.1674
7.1141 9.1543 9.6231
1.2116 5.2537 9.0147
1.0280 4.0870 3.2884
6.9306 0.1865 3.8968
8.0539 6.4027 7.4301
2.7159 2.5336 0.6615
0.1461 3.7468 11.8179
0.0883 1.3354 5.4813
7.0888 2.5336 0.5992
0.1461 1.3204 11.8179
6.7869 7.6009 5.7942
3.0431 0.9802 9.7441
2.6255 8.9343 10.7091
1.3552 2.5336 7.1172
3.0178 7.6009 5.8565
7.9960 8.8141 1.0936
4.2172 8.8141 7.5493
4.8450 2.5336 9.9636
3.0431 4.0870 9.7441
2.6255 6.2675 10.7091
4.1593 6.4027 0.9744
1.0533 7.6009 12.3123
4.1593 8.7991 0.9744
6.9306 4.8808 3.8968
3.9828 1.3354 11.9370
2.8595 9.9480 2.5589
8.0539 8.7991 7.4301
5.5166 3.8670 2.2024
1.4455 8.9343 4.2533
5.0991 6.0475 3.1674
1.2116 9.9480 9.0147
1.0280 0.9802 3.2884
5.9730 0.0202 6.3440
6.2402 0.0202 12.7997
0.7630 2.5336 9.5275
6.2402 5.0471 12.7997
5.9730 5.0471 6.3440
7.3792 7.6009 3.3840
4.8340 7.6009 9.8397
3.3081 2.5336 3.0718
1.9019 10.1143 0.1117
1.9019 5.0874 0.1117
2.1691 5.0874 6.5675
2.1691 10.1143 6.5675
0.5188 2.5336 6.0736
2.3285 5.2629 9.8496
7.9324 2.5336 12.3992
7.9249 1.2682 4.0221
2.3285 9.9389 9.8496
6.3996 0.1956 9.5176
4.2884 1.2682 10.4778
1.7425 5.2629 3.3938
6.3996 4.8716 9.5176
5.8136 0.1956 3.0619
0.2173 8.8664 8.8894
0.2097 7.6009 0.5122
5.8136 4.8716 3.0619
3.5523 2.5336 12.5293
7.6234 7.6009 6.8379
3.8538 6.3354 2.4336
3.8613 7.6009 6.9679
0.2173 6.3354 8.8894
4.2884 3.7991 10.4778
4.2808 2.5336 5.9435
3.8538 8.8664 2.4336
7.9249 3.7991 4.0221
1.7425 9.9389 3.3938
4.5899 7.6009 0.3821
1.6882 7.6009 10.8511
6.4539 2.5336 2.0604
2.3829 7.6009 4.3954
5.7593 2.5336 8.5161
```

Computed properties:
**Energy of formation from the pure elements**: -6947.3 kJ/mol of formula units
**Symmetry**: No. 62
**Magnetization**: 0.01 μB/cell